# LiVCuO4

Crystalline LiVCuO4 at its relaxed geometry (GGA+U, the Materials Project database).

Cell: 6.1660 6.1660 6.1660 Å, 125.49 124.98 81.14°
Closest atoms and distances in Å follow each position.
Positions (direct):
Li (0.4001, 0.1501, 0.2500)  4 O 2.01-2.05
Li (0.5999, 0.8499, 0.7500)  4 O 2.01-2.05
V (0.0000, 0.5000, 0.5000)  6 O 1.91-2.00
V (0.5000, 0.5000, 0.0000)  6 O 1.91-2.00
Cu (0.0000, 0.0000, 0.5000)  4 O 1.92
Cu (0.0000, 0.5000, 0.0000)  4 O 1.92
O (0.1823, 0.7122, 0.4701)  2 Cu 1.92, 1 V 2.00, 1 Li 2.05
O (0.2579, 0.2878, 0.9701)  2 Cu 1.92, 1 V 2.00, 1 Li 2.05
O (0.2652, 0.2925, 0.5273)  2 V 1.91, 1 Li 2.01
O (0.2652, 0.7380, 0.9727)  2 V 1.91, 1 Li 2.01
O (0.7348, 0.2620, 0.0273)  2 V 1.91, 1 Li 2.01
O (0.7348, 0.7075, 0.4727)  2 V 1.91, 1 Li 2.01
O (0.7421, 0.7122, 0.0299)  2 Cu 1.92, 1 V 2.00, 1 Li 2.05
O (0.8177, 0.2878, 0.5299)  2 Cu 1.92, 1 V 2.00, 1 Li 2.05

Computed properties:
energy relative to the elements = -182.90 kJ per mole of atoms
spin magnetization = 2.00 μB per cell
polymorph energy (0 for the lowest one) = 6.3 kJ per mole of atoms
symmetry = No. 74

=====

# Li2V3CuO8

Crystalline Li2V3CuO8 at its relaxed geometry (GGA+U, the Materials Project database).

Cell: 8.3575 8.3964 8.5033 Å, 90.00 90.00 90.00°
Closest atoms and distances in Å follow each position.
Positions (direct):
Li (0.1206, 0.1268, 0.1252)  6 O 2.12-2.19
Li (0.2466, 0.7523, 0.2466)  4 O 1.98-2.04
Li (0.2534, 0.2477, 0.7466)  4 O 1.98-2.04
Li (0.3794, 0.8732, 0.6252)  6 O 2.12-2.19
Li (0.6206, 0.3732, 0.8748)  6 O 2.12-2.19
Li (0.7466, 0.7477, 0.7534)  4 O 1.98-2.04
Li (0.7534, 0.2523, 0.2534)  4 O 1.98-2.04
Li (0.8794, 0.6268, 0.3748)  6 O 2.12-2.19
V (0.1251, 0.3850, 0.3832)  5 O 1.85-2.05
V (0.1315, 0.6230, 0.6321)  6 O 1.88-2.03
V (0.1328, 0.8848, 0.8762)  5 O 1.83-2.04
V (0.3672, 0.1152, 0.3762)  5 O 1.83-2.04
V (0.3685, 0.3770, 0.1321)  6 O 1.88-2.03
V (0.3749, 0.6150, 0.8832)  5 O 1.85-2.05
V (0.6251, 0.1150, 0.6168)  5 O 1.85-2.05
V (0.6315, 0.8770, 0.3679)  6 O 1.88-2.03
V (0.6328, 0.6152, 0.1238)  5 O 1.83-2.04
V (0.8672, 0.3848, 0.6238)  5 O 1.83-2.04
V (0.8685, 0.1230, 0.8679)  6 O 1.88-2.03
V (0.8749, 0.8850, 0.1168)  5 O 1.85-2.05
Cu (0.0073, 0.9936, 0.4978)  4 O 1.98-2.04
Cu (0.4927, 0.0064, 0.9978)  4 O 1.98-2.04
Cu (0.5073, 0.5064, 0.5022)  4 O 1.98-2.04
Cu (0.9927, 0.4936, 0.0022)  4 O 1.98-2.04
O (0.1048, 0.8684, 0.0978)  2 V 1.90-1.93, 1 Li 1.99
O (0.1059, 0.1011, 0.8711)  2 V 1.83-1.99, 1 Li 2.04
O (0.1116, 0.3827, 0.6160)  1 Li 1.98, 3 V 1.98-2.04
O (0.1200, 0.8552, 0.6524)  2 V 1.92-1.96, 1 Cu 1.99
O (0.1309, 0.6043, 0.3983)  2 V 1.85-1.99, 1 Li 2.04
O (0.1315, 0.6390, 0.8666)  3 V 2.00-2.07, 1 Cu 2.04
O (0.1440, 0.3781, 0.1482)  2 V 1.88-2.01, 1 Cu 2.02
O (0.1496, 0.1395, 0.3805)  1 V 1.83, 1 Cu 1.98
O (0.3504, 0.8605, 0.8805)  1 V 1.83, 1 Cu 1.98
O (0.3560, 0.6219, 0.6482)  2 V 1.88-2.01, 1 Cu 2.02
O (0.3685, 0.3610, 0.3666)  3 V 2.00-2.07, 1 Cu 2.04
O (0.3691, 0.3957, 0.8983)  2 V 1.85-1.99, 1 Li 2.04
O (0.3800, 0.1448, 0.1524)  2 V 1.92-1.96, 1 Cu 1.99
O (0.3884, 0.6173, 0.1160)  1 Li 1.98, 3 V 1.98-2.04
O (0.3941, 0.8989, 0.3711)  2 V 1.83-1.99, 1 Li 2.04
O (0.3952, 0.1316, 0.5978)  2 V 1.90-1.93, 1 Li 1.99
O (0.6048, 0.6316, 0.9022)  2 V 1.90-1.93, 1 Li 1.99
O (0.6059, 0.3989, 0.1289)  2 V 1.83-1.99, 1 Li 2.04
O (0.6116, 0.1173, 0.3840)  1 Li 1.98, 3 V 1.98-2.04
O (0.6200, 0.6448, 0.3476)  2 V 1.92-1.96, 1 Cu 1.99
O (0.6309, 0.8957, 0.6017)  2 V 1.85-1.99, 1 Li 2.04
O (0.6315, 0.8610, 0.1334)  3 V 2.00-2.07, 1 Cu 2.04
O (0.6440, 0.1219, 0.8518)  2 V 1.88-2.01, 1 Cu 2.02
O (0.6496, 0.3605, 0.6195)  1 V 1.83, 1 Cu 1.98
O (0.8504, 0.6395, 0.1195)  1 V 1.83, 1 Cu 1.98
O (0.8560, 0.8781, 0.3518)  2 V 1.88-2.01, 1 Cu 2.02
O (0.8685, 0.1390, 0.6334)  3 V 2.00-2.07, 1 Cu 2.04
O (0.8691, 0.1043, 0.1017)  2 V 1.85-1.99, 1 Li 2.04
O (0.8800, 0.3552, 0.8476)  2 V 1.92-1.96, 1 Cu 1.99
O (0.8884, 0.8827, 0.8840)  1 Li 1.98, 3 V 1.98-2.04
O (0.8941, 0.6011, 0.6289)  2 V 1.83-1.99, 1 Li 2.04
O (0.8952, 0.3684, 0.4022)  2 V 1.90-1.93, 1 Li 1.99

Computed properties:
energy relative to the elements = -216.64 kJ per mole of atoms
spin magnetization = 8.00 μB per cell
polymorph energy (0 for the lowest one) = 0.0 kJ per mole of atoms
symmetry = No. 19

=====

In order of appearance, theoretical density = 4.1; 4.0 Mg/m³.